# 1
{"formula": "Sr2LuTaO6", "functional": "PBE", "state": "optimized geometry", "delta_e_f_ev_per_atom": -3.601, "total_magnetization_mub_per_fu": 0.0, "energy_corrected_mp2020_ev_per_atom": -8.5457, "sg": "Pnn2, No. 34", "lattice_angstrom": [[5.891, 0.000, 0.000], [0.000, 8.298, 0.000], [0.000, 0.000, 5.863]], "species": ["Sr", "Sr", "Sr", "Sr", "Lu", "Lu", "Ta", "Ta", "O", "O", "O", "O", "O", "O", "O", "O", "O", "O", "O", "O"], "fractional_positions": [[0.016, 0.248, 0.000], [0.484, 0.748, 0.500], [0.516, 0.252, 0.500], [0.984, 0.752, 0.000], [0.000, 0.000, 0.501], [0.500, 0.500, 0.001], [0.000, 0.500, 0.501], [0.500, 0.000, 0.001], [0.010, 0.740, 0.484], [0.232, 0.503, 0.749], [0.250, 0.493, 0.271], [0.250, 0.993, 0.771], [0.268, 0.003, 0.249], [0.490, 0.240, 0.984], [0.510, 0.760, 0.984], [0.732, 0.997, 0.249], [0.750, 0.007, 0.771], [0.750, 0.507, 0.271], [0.768, 0.497, 0.749], [0.990, 0.260, 0.484]]}

# 2
{"formula": "LuTaO4", "functional": "PBE", "state": "optimized geometry", "delta_e_f_ev_per_atom": -3.746, "energy_corrected_mp2020_ev_per_atom": -9.7744, "sg": "C2/c, No. 15", "lattice_angstrom": [[3.474, -5.444, 0.000], [3.474, 5.444, 0.000], [-3.321, 0.000, 3.809]], "species": ["Lu", "Lu", "Ta", "Ta", "O", "O", "O", "O", "O", "O", "O", "O"], "fractional_positions": [[0.132, 0.868, 0.750], [0.868, 0.132, 0.250], [0.397, 0.603, 0.250], [0.603, 0.397, 0.750], [0.127, 0.549, 0.340], [0.220, 0.283, 0.780], [0.283, 0.220, 0.280], [0.451, 0.873, 0.160], [0.549, 0.127, 0.840], [0.717, 0.780, 0.720], [0.780, 0.717, 0.220], [0.873, 0.451, 0.660]]}

# 3
{"formula": "LuTaO4", "functional": "PBE", "state": "optimized geometry", "delta_e_f_ev_per_atom": -3.756, "energy_corrected_mp2020_ev_per_atom": -9.7840, "sg": "P2/c, No. 13", "lattice_angstrom": [[5.012, 0.000, 0.000], [0.000, 5.753, 0.000], [-0.306, 0.000, 5.243]], "species": ["Lu", "Lu", "Ta", "Ta", "O", "O", "O", "O", "O", "O", "O", "O"], "fractional_positions": [[0.000, 0.196, 0.250], [0.000, 0.804, 0.750], [0.500, 0.321, 0.750], [0.500, 0.679, 0.250], [0.240, 0.112, 0.603], [0.240, 0.888, 0.103], [0.284, 0.404, 0.046], [0.284, 0.596, 0.546], [0.716, 0.404, 0.454], [0.716, 0.596, 0.954], [0.760, 0.112, 0.897], [0.760, 0.888, 0.397]]}

# 4
{"formula": "LuTaTiO6", "functional": "PBE", "state": "optimized geometry", "delta_e_f_ev_per_atom": -3.664, "total_magnetization_mub_per_fu": 0.0, "energy_corrected_mp2020_ev_per_atom": -9.6598, "sg": "P2_1/c, No. 14", "lattice_angstrom": [[5.177, 0.000, 0.000], [0.000, 14.619, 0.000], [-0.021, 0.000, 5.581]], "species": ["Lu", "Lu", "Lu", "Lu", "Ta", "Ta", "Ta", "Ta", "Ti", "Ti", "Ti", "Ti", "O", "O", "O", "O", "O", "O", "O", "O", "O", "O", "O", "O", "O", "O", "O", "O", "O", "O", "O", "O", "O", "O", "O", "O"], "fractional_positions": [[0.246, 0.000, 0.226], [0.246, 0.500, 0.726], [0.754, 0.000, 0.774], [0.754, 0.500, 0.274], [0.320, 0.167, 0.678], [0.320, 0.333, 0.178], [0.680, 0.667, 0.822], [0.680, 0.833, 0.322], [0.185, 0.664, 0.187], [0.185, 0.836, 0.687], [0.815, 0.164, 0.313], [0.815, 0.336, 0.813], [0.025, 0.091, 0.568], [0.025, 0.409, 0.068], [0.078, 0.584, 0.409], [0.078, 0.916, 0.909], [0.148, 0.239, 0.368], [0.148, 0.261, 0.868], [0.355, 0.741, 0.863], [0.355, 0.759, 0.363], [0.422, 0.083, 0.911], [0.422, 0.417, 0.411], [0.474, 0.592, 0.072], [0.474, 0.908, 0.572], [0.526, 0.092, 0.428], [0.526, 0.408, 0.928], [0.578, 0.583, 0.589], [0.578, 0.917, 0.089], [0.645, 0.241, 0.637], [0.645, 0.259, 0.137], [0.852, 0.739, 0.132], [0.852, 0.761, 0.632], [0.922, 0.084, 0.091], [0.922, 0.416, 0.591], [0.975, 0.591, 0.932], [0.975, 0.909, 0.432]]}